# 1
PBE Ge2N2O, relaxed; energy of formation = -586 meV per atom; spin magnetization = 0.00 Bohr magnetons per cell
1.0
-5.176 -12.024 -1.219
-3.383 -10.747 6.776
0.490 12.956 -2.180
Ge O N
16 8 16
Cartesian
-2.544 0.675 3.693 Ge
-6.534 -9.062 3.982 Ge
-1.090 -0.435 1.384 Ge
-0.843 6.044 0.304 Ge
-5.930 -9.077 0.630 Ge
-1.447 -3.850 0.940 Ge
-1.997 3.865 -1.245 Ge
-6.521 -13.999 2.624 Ge
-3.688 -1.509 2.143 Ge
-3.933 -7.987 3.233 Ge
-3.687 -6.443 0.776 Ge
-3.035 -1.376 -1.250 Ge
-4.832 -3.692 0.593 Ge
-6.776 -15.538 5.082 Ge
-4.179 -9.530 5.690 Ge
-7.112 -18.920 4.617 Ge
-3.178 -6.315 2.650 O
-4.504 -3.224 2.453 O
-4.688 -9.658 3.816 O
-7.018 -15.777 3.166 O
-1.439 5.687 -1.515 O
-2.555 2.043 -0.975 O
-6.024 -12.220 2.082 O
-2.872 0.206 1.832 O
-4.122 -6.598 -1.183 N
-5.536 -10.653 -0.346 N
-1.422 -0.632 -0.591 N
-1.828 -2.244 1.905 N
-4.307 -8.301 1.278 N
-3.904 -0.138 -2.392 N
-3.192 -1.203 4.071 N
-3.061 -4.595 0.281 N
-1.609 4.216 0.701 N
-6.038 -13.729 4.561 N
-4.185 -1.815 0.214 N
-3.559 -7.672 5.187 N
-5.265 -4.156 -1.317 N
-7.069 -9.483 2.089 N
-5.768 -7.233 3.585 N
-5.483 -5.558 0.979 N



# 2
PBE SiGeN2O, relaxed; energy of formation = -1220 meV per atom; spin magnetization = 0.00 Bohr magnetons per cell; largest piezoelectric modulus = 0.3 C/m2
1.0
4.566 2.842 0.000
-4.566 2.842 0.000
0.000 0.041 5.034
O Si N Ge
2 2 4 2
Cartesian
0.000 4.608 3.355 O
0.000 1.482 0.702 O
2.977 1.970 2.978 Si
-2.977 1.970 2.978 Si
-2.726 2.052 1.270 N
2.491 3.497 3.686 N
2.726 2.052 1.270 N
-2.491 3.497 3.686 N
-2.934 3.674 0.436 Ge
2.934 3.674 0.436 Ge



# 3
PBE SiGeN2O, relaxed; energy of formation = -1219 meV per atom; spin magnetization = 0.00 Bohr magnetons per cell
1.0
-3.272 2.776 2.584
-3.918 -3.492 -1.210
-0.767 -4.091 3.425
Ge Si N O
2 2 4 2
Cartesian
-1.743 -2.563 3.617 Ge
-6.647 -1.877 1.524 Ge
-4.004 -3.422 1.658 Si
-4.374 -1.028 3.473 Si
-3.183 -1.811 4.469 N
-5.026 -2.202 2.358 N
-4.283 -3.413 -0.058 N
-2.307 -3.134 1.948 N
-3.623 0.091 2.535 O
-4.292 -4.934 2.230 O



# 4
PBE Ge2Pb5N6, relaxed; energy of formation = 227 meV per atom; spin magnetization = 0.00 Bohr magnetons per cell
1.0
5.942 -0.551 0.118
-3.846 6.138 0.000
-1.670 -1.047 14.487
Pb N Ge
10 12 4
Cartesian
0.634 4.328 4.598 Pb
-3.284 2.457 10.866 Pb
-0.209 0.212 10.007 Pb
-2.232 2.635 3.622 Pb
1.726 3.000 7.773 Pb
0.935 0.243 2.763 Pb
-0.510 4.298 11.842 Pb
-3.862 3.773 14.076 Pb
-1.300 1.541 6.833 Pb
4.288 0.768 0.529 Pb
2.269 0.481 7.759 N
-0.436 2.081 2.288 N
-1.843 4.060 6.846 N
0.363 0.051 5.065 N
3.424 0.226 5.074 N
-2.998 4.315 9.531 N
-1.832 2.185 14.090 N
0.861 2.459 12.318 N
2.257 2.355 0.516 N
-0.631 -0.219 12.309 N
1.057 4.760 2.297 N
0.063 4.490 9.540 N
-1.443 4.856 8.573 Ge
-0.304 1.296 13.276 Ge
1.869 -0.316 6.032 Ge
0.730 3.244 1.329 Ge



# 5
PBE GePb7N6, relaxed; energy of formation = 345 meV per atom; spin magnetization = 0.01 Bohr magnetons per cell
1.0
12.761 0.000 0.000
0.000 7.324 0.000
0.000 0.000 12.788
N Pb Ge
24 28 4
Cartesian
4.130 1.520 5.937 N
0.471 7.020 7.954 N
1.437 2.402 3.374 N
12.290 7.020 11.228 N
1.437 4.922 9.768 N
7.817 6.063 3.020 N
4.130 5.803 12.331 N
6.852 3.966 4.834 N
5.909 3.966 1.560 N
8.631 1.520 0.457 N
12.290 0.304 4.834 N
2.251 5.182 5.937 N
10.511 2.142 6.851 N
4.944 1.260 9.768 N
4.944 6.063 3.374 N
7.817 1.260 9.414 N
10.511 5.182 0.457 N
5.909 3.358 7.954 N
2.251 2.142 12.331 N
0.471 0.304 1.560 N
11.324 2.402 3.020 N
6.852 3.358 11.228 N
11.324 4.922 9.414 N
8.631 5.803 6.851 N
9.669 0.286 8.133 Pb
9.472 3.948 8.133 Pb
2.750 1.328 1.640 Pb
6.381 6.827 9.591 Pb
6.441 5.397 12.511 Pb
3.289 3.948 11.049 Pb
10.011 5.996 11.148 Pb
3.630 4.990 1.640 Pb
3.289 3.376 4.655 Pb
0.061 1.735 6.670 Pb
3.630 2.334 8.034 Pb
9.131 4.990 4.754 Pb
0.000 3.165 9.591 Pb
10.011 1.328 4.754 Pb
12.700 5.589 6.118 Pb
9.669 7.037 1.739 Pb
0.061 5.589 0.276 Pb
0.000 4.159 3.197 Pb
3.092 7.037 4.655 Pb
6.320 5.397 6.670 Pb
6.381 0.497 3.197 Pb
3.092 0.286 11.049 Pb
12.700 1.735 12.511 Pb
6.320 1.927 0.276 Pb
9.131 2.334 11.148 Pb
9.472 3.376 1.739 Pb
6.441 1.927 6.118 Pb
2.750 5.996 8.034 Pb
6.381 4.788 3.197 Ge
0.000 1.126 3.197 Ge
6.381 2.536 9.591 Ge
0.000 6.198 9.591 Ge



# 6
PBE Ge7PbN10, relaxed; energy of formation = -151 meV per atom; spin magnetization = 0.00 Bohr magnetons per cell
1.0
-6.947 -1.616 1.661
0.976 -6.647 -2.386
5.478 -2.241 8.483
Pb Ge N
2 14 20
Cartesian
-3.146 -3.140 6.399 Pb
-5.006 -8.005 0.008 Pb
3.401 -6.586 6.544 Ge
-1.716 -5.403 0.931 Ge
1.713 -9.187 5.603 Ge
-2.327 -0.792 0.684 Ge
-1.946 -1.802 3.610 Ge
2.998 -5.495 3.657 Ge
1.336 -8.204 2.667 Ge
0.429 -3.880 2.872 Ge
-0.862 -7.373 6.815 Ge
-1.300 -6.380 3.800 Ge
-3.851 -4.556 3.183 Ge
0.055 -2.986 -0.086 Ge
0.769 -4.797 5.792 Ge
1.183 -5.760 8.666 Ge
-0.061 -5.095 4.179 N
-1.323 -7.009 0.118 N
-0.240 -4.299 1.213 N
2.698 -7.012 2.680 N
-2.740 -4.388 -0.211 N
0.663 -3.004 6.200 N
-0.711 -1.332 0.075 N
2.294 -3.883 2.928 N
1.503 -3.975 8.958 N
5.201 -6.142 6.761 N
2.498 -5.411 5.457 N
-0.510 -7.799 2.942 N
-2.533 -5.732 2.562 N
-3.249 -3.016 3.954 N
-2.062 -7.008 5.367 N
0.049 -5.781 7.188 N
3.359 -8.262 5.817 N
-5.045 -4.228 1.721 N
0.181 -8.837 6.507 N
-0.106 -2.198 3.350 N



# 7
PBE Ge2SN2, relaxed; energy of formation = 341 meV per atom; spin magnetization = 0.00 Bohr magnetons per cell
1.0
6.339 -0.861 0.432
-4.256 6.909 0.000
0.456 0.281 4.620
N Ge S
4 4 2
Cartesian
2.386 3.411 1.160 N
4.120 0.597 1.160 N
-0.227 3.012 2.676 N
-1.668 5.352 2.676 N
2.463 0.019 1.192 Ge
-2.803 5.744 4.264 Ge
1.125 2.191 1.192 Ge
-0.387 1.822 4.264 Ge
1.885 5.926 3.470 S
-0.436 4.497 2.180 S



# 8
PBE Sc3Ge6N11, relaxed; energy of formation = -569 meV per atom; spin magnetization = 0.00 Bohr magnetons per cell
1.0
-9.337 -3.032 2.764
2.569 -9.678 -1.939
1.602 -0.540 4.819
N Sc Ge
22 6 12
Cartesian
-2.770 -4.169 1.348 N
-3.786 -8.030 4.080 N
-3.469 -8.720 1.070 N
-7.667 -4.827 2.902 N
-4.825 -11.266 1.236 N
-1.711 -2.920 4.022 N
-5.411 -11.082 4.278 N
-3.475 -5.197 4.294 N
1.768 -9.852 2.029 N
1.482 -4.906 -0.374 N
-5.888 -6.285 5.033 N
-5.281 -6.158 1.960 N
-2.820 -10.545 3.536 N
-4.471 -1.583 1.978 N
-0.779 -5.423 3.372 N
-6.334 -3.601 5.423 N
-0.958 -6.731 0.459 N
0.846 -2.371 3.174 N
1.428 -8.062 -0.484 N
1.358 -7.179 2.524 N
-1.090 -8.256 3.158 N
-1.414 -1.623 1.183 N
-1.857 -6.870 5.007 Sc
-4.485 -4.512 6.081 Sc
1.527 -0.515 4.594 Sc
-4.214 -9.681 5.411 Sc
0.733 -9.215 3.819 Sc
0.462 -4.047 4.488 Sc
-0.423 -6.798 2.223 Ge
-3.165 -2.338 1.059 Ge
-7.164 -6.378 1.936 Ge
-2.316 -4.413 3.119 Ge
-7.217 -5.054 4.677 Ge
-3.444 -10.426 0.246 Ge
-2.769 -8.865 2.771 Ge
2.132 -8.224 1.213 Ge
-4.221 -11.593 2.948 Ge
0.555 -6.386 -0.631 Ge
-0.863 -1.685 2.942 Ge
-4.661 -6.480 3.667 Ge



# 9
PBE Ge2SeN2, relaxed; energy of formation = -186 meV per atom; spin magnetization = 0.00 Bohr magnetons per cell
1.0
-4.876 3.712 1.717
-0.739 -3.488 -4.705
-1.787 -3.770 3.076
Se Ge N
2 4 4
Cartesian
-1.730 -5.018 -1.268 Se
-0.525 -1.667 -0.828 Se
-4.393 -2.281 -2.432 Ge
-2.637 -1.057 0.088 Ge
-5.065 -3.120 0.516 Ge
-3.309 -1.896 3.036 Ge
-3.606 -2.154 1.215 N
-3.551 -0.873 -1.549 N
-2.523 0.624 0.882 N
-4.634 -3.651 -1.217 N



# 10
PBE Si2Ge5N6, relaxed; energy of formation = -184 meV per atom; spin magnetization = 0.00 Bohr magnetons per cell
1.0
5.593 0.090 0.673
-2.991 4.862 0.000
-0.105 -0.065 14.477
Ge N Si
10 12 4
Cartesian
-1.672 2.541 10.858 Ge
-1.424 2.256 3.619 Ge
-0.030 1.780 6.827 Ge
3.965 0.887 1.085 Ge
-1.469 4.000 14.065 Ge
2.527 3.107 8.324 Ge
-2.788 4.525 4.968 Ge
5.285 0.362 10.183 Ge
2.758 4.587 2.944 Ge
-0.261 0.301 12.206 Ge
1.102 3.833 9.576 N
-1.836 3.769 9.320 N
-0.107 3.744 6.989 N
0.249 3.046 14.228 N
1.395 1.055 5.575 N
0.979 4.150 2.337 N
2.247 1.841 0.923 N
2.604 1.144 8.161 N
-0.402 1.557 2.081 N
1.517 0.737 12.813 N
4.332 1.118 5.831 N
2.898 3.331 13.069 N
1.717 2.192 13.719 Si
0.780 2.695 1.431 Si
-0.287 4.311 8.670 Si
2.784 0.577 6.481 Si



# 11
PBE SiGe2N4, relaxed; energy of formation = -393 meV per atom; spin magnetization = 0.00 Bohr magnetons per cell
1.0
0.000 4.073 4.073
4.073 0.000 4.073
4.073 4.073 0.000
Si N Ge
2 8 4
Cartesian
4.073 4.073 4.073 Si
6.109 6.109 6.109 Si
3.027 3.027 3.027 N
5.063 7.154 5.063 N
5.118 5.118 3.027 N
7.154 7.154 7.154 N
5.063 5.063 7.154 N
3.027 5.118 5.118 N
5.118 3.027 5.118 N
7.154 5.063 5.063 N
3.054 1.018 3.054 Ge
1.018 3.054 3.054 Ge
1.018 1.018 1.018 Ge
3.054 3.054 1.018 Ge



# 12
PBE Sr2GeN2, relaxed; energy of formation = -806 meV per atom; ΔE to the lowest computed polymorph = 0.00 eV per formula unit
1.0
-0.665 0.311 11.837
7.351 -9.284 0.657
4.248 3.374 0.150
Sr N Ge
16 16 8
Cartesian
4.788 -2.014 7.851 Sr
6.315 -8.019 1.519 Sr
8.309 -6.583 10.935 Sr
2.949 -4.173 10.359 Sr
2.919 0.430 5.832 Sr
0.370 -0.954 10.976 Sr
4.035 -1.245 11.880 Sr
2.624 0.984 1.709 Sr
4.271 -5.702 7.284 Sr
3.737 -4.800 2.136 Sr
8.014 -6.029 6.812 Sr
6.898 -4.354 0.764 Sr
2.414 -3.271 5.210 Sr
6.755 -8.877 8.354 Sr
6.145 -3.586 4.794 Sr
-0.070 -0.096 4.140 Sr
0.636 -0.874 1.649 N
5.328 -2.802 10.294 N
6.049 -8.099 10.846 N
5.812 -7.599 6.331 N
2.508 0.725 10.833 N
4.231 -5.867 12.138 N
8.425 -6.324 1.812 N
1.766 1.787 7.956 N
5.605 -2.797 2.350 N
2.454 -3.106 0.356 N
4.157 -5.444 4.728 N
2.529 -3.529 7.766 N
6.384 -4.011 7.578 N
9.167 -7.386 4.689 N
0.873 -1.374 6.163 N
4.548 -1.588 5.067 N
8.194 -6.116 3.663 Ge
1.781 -2.330 1.956 Ge
2.739 0.516 8.981 Ge
4.904 -6.643 10.539 Ge
4.527 -1.477 3.193 Ge
5.325 -6.910 4.628 Ge
6.406 -4.122 9.452 Ge
1.361 -2.063 7.866 Ge



> The highest energy of formation belongs to which entry?

GePb7N6